Entry 1:
# Na8CaZr3Si4P2O24

Na8CaZr3Si4P2O24 after structural relaxation (PBE, the Materials Project database).

Energy of formation = -3026 meV/atom

Cell: 9.3367 9.3392 22.8455 Å, 90.00 89.91 120.06°
Fractional coordinates of all 126 atoms:
Na 0.6580 0.6865 0.0826
Na 0.3152 0.0325 0.4160
Na 0.9658 0.6643 0.9172
Na 0.6384 0.0131 0.2407
Na 0.6596 0.9713 0.5897
Na 0.3138 0.3351 0.5857
Na 0.9858 0.6265 0.2418
Na 0.3752 0.3599 0.2417
Na 0.0283 0.3417 0.0826
Na 0.0084 0.9985 0.4966
Na 0.3136 0.9715 0.0827
Na 0.7135 0.6762 0.4133
Na 0.6680 0.3371 0.3298
Na 0.9710 0.2930 0.4140
Na 0.6360 0.6226 0.7461
Na 0.0008 0.0010 0.9987
Na 0.0296 0.6982 0.5837
Na 0.6730 0.3337 0.8296
Na 0.3412 0.6770 0.6698
Na 0.3832 0.0097 0.7446
Na 0.3342 0.6675 0.1597
Na 0.9823 0.3671 0.7508
Na 0.3349 0.3008 0.9186
Na 0.6992 0.0358 0.9173
O 0.8994 0.3702 0.6376
O 0.9072 0.5298 0.1438
O 0.5252 0.6966 0.2529
O 0.8552 0.4825 0.4210
O 0.8437 0.5417 0.0285
O 0.4707 0.3779 0.1435
O 0.5316 0.8545 0.4713
O 0.6723 0.5278 0.2471
O 0.1539 0.4589 0.9728
O 0.8516 0.3074 0.5287
O 0.9938 0.8094 0.8082
O 0.9835 0.8193 0.0897
O 0.7985 0.9765 0.6924
O 0.4573 0.3096 0.7497
O 0.8361 0.0167 0.0897
O 0.3033 0.8469 0.9731
O 0.1946 0.1868 0.8056
O 0.0200 0.1880 0.9118
O 0.5081 0.8435 0.0735
O 0.1436 0.4842 0.5732
O 0.4738 0.1467 0.2470
O 0.6329 0.1331 0.4217
O 0.6456 0.4986 0.9222
O 0.8403 0.5267 0.7522
O 0.1862 0.9756 0.1974
O 0.9830 0.1759 0.5865
O 0.3644 0.8736 0.8595
O 0.3314 0.8430 0.5739
O 0.5098 0.6356 0.8589
O 0.8133 0.8304 0.9122
O 0.7923 0.9788 0.4148
O 0.0290 0.8223 0.6927
O 0.5096 0.6676 0.5738
O 0.1721 0.9869 0.9119
O 0.5416 0.6953 0.9727
O 0.3649 0.4927 0.3598
O 0.5028 0.1472 0.9223
O 0.5125 0.8744 0.3620
O 0.2198 0.0155 0.3075
O 0.7920 0.8151 0.1975
O 0.7952 0.7814 0.3077
O 0.3354 0.4920 0.0734
O 0.8550 0.3278 0.2470
O 0.1309 0.6388 0.3598
O 0.0088 0.8181 0.4178
O 0.1567 0.6648 0.0736
O 0.3250 0.4740 0.4741
O 0.1764 0.6952 0.7537
O 0.6225 0.0930 0.1436
O 0.0236 0.2090 0.1976
O 0.5239 0.8201 0.7534
O 0.8190 0.0115 0.8080
O 0.2961 0.4640 0.7544
O 0.1849 0.0249 0.5861
O 0.8541 0.3546 0.9221
O 0.1809 0.1642 0.0897
O 0.4586 0.3020 0.0284
O 0.6218 0.5258 0.6424
O 0.1496 0.6791 0.4738
O 0.1812 0.2065 0.6952
O 0.6830 0.1570 0.7523
O 0.4760 0.0957 0.6421
O 0.4642 0.1562 0.5269
O 0.1740 0.1935 0.4182
O 0.3083 0.8316 0.2536
O 0.6973 0.5411 0.5275
O 0.9840 0.2036 0.3078
O 0.6983 0.1568 0.0285
O 0.1272 0.4901 0.8585
O 0.5098 0.3625 0.4212
O 0.1708 0.4751 0.2535
O 0.8363 0.8205 0.5866
Zr 0.9978 0.9921 0.6487
Zr 0.3353 0.6709 0.8158
Zr 0.6639 0.3389 0.4829
Zr 0.3332 0.6670 0.0146
Zr 0.3319 0.6668 0.5173
Zr 0.3297 0.6616 0.3165
Zr 0.6673 0.3337 0.9835
Zr 0.9960 0.9966 0.8535
Zr 0.0002 0.9997 0.1467
P 0.6981 0.7037 0.2522
P 0.6211 0.9615 0.4171
P 0.2859 0.2926 0.7511
P 0.0043 0.3011 0.2522
P 0.2981 0.9956 0.2521
P 0.9659 0.3334 0.5826
Ca 0.0017 0.9999 0.3526
Ca 0.6665 0.3335 0.1768
Ca 0.6643 0.3324 0.6830
Si 0.6281 0.6641 0.9160
Si 0.0331 0.6588 0.4177
Si 0.0054 0.7066 0.7519
Si 0.3383 0.3737 0.4179
Si 0.6660 0.6360 0.5844
Si 0.3654 0.3354 0.0844
Si 0.7037 0.9955 0.7512
Si 0.0373 0.3719 0.9158
Si 0.3356 0.9652 0.9164
Si 0.3664 0.0329 0.5839
Si 0.9700 0.6348 0.0845
Si 0.6651 0.0302 0.0844



Entry 2:
# Ca5P3HO13

Ca5P3HO13 after structural relaxation (PBE, the Materials Project database).

Energy of formation = -3223 meV/atom

Cell: 6.9359 9.5028 18.9932 Å, 60.01 90.00 90.00°
Fractional coordinates of all 88 atoms:
O 0.5812 0.2534 0.4132
O 0.4181 0.5785 0.8745
O 0.5819 0.4215 0.1255
O 0.0596 0.7673 0.5710
O 0.5603 0.8521 0.7049
O 0.3010 0.4991 0.2502
O 0.0790 0.1675 0.2904
O 0.7600 0.6566 0.0078
O 0.7400 0.8281 0.8285
O 0.2600 0.1719 0.1715
O 0.5584 0.4069 0.6178
O 0.9397 0.8521 0.2049
O 0.7543 0.0151 0.4140
O 0.7634 0.3783 0.5171
O 0.2677 0.9655 0.4563
O 0.4397 0.1479 0.2951
O 0.7600 0.8281 0.3285
O 0.7400 0.6566 0.5078
O 0.2634 0.6217 0.9829
O 0.4188 0.7466 0.5868
O 0.4210 0.1675 0.7904
O 0.4416 0.5931 0.3822
O 0.6990 0.5009 0.7498
O 0.2426 0.9123 0.3112
O 0.7366 0.3783 0.0171
O 0.7457 0.0151 0.9140
O 0.2366 0.6217 0.4829
O 0.9416 0.4069 0.1178
O 0.2600 0.3434 0.4922
O 0.2400 0.3434 0.9922
O 0.0584 0.5931 0.8822
O 0.0603 0.1479 0.7951
O 0.2457 0.9849 0.5860
O 0.5790 0.8325 0.2096
O 0.7677 0.0345 0.0437
O 0.5596 0.2327 0.9290
O 0.2323 0.9655 0.9563
O 0.9210 0.8325 0.7096
O 0.9181 0.4215 0.6255
O 0.2543 0.9849 0.0860
O 0.4404 0.7673 0.0710
O 0.8010 0.5009 0.2498
O 0.7426 0.0877 0.1888
O 0.2400 0.1719 0.6715
O 0.0812 0.7466 0.0868
O 0.9404 0.2327 0.4290
O 0.0819 0.5785 0.3745
O 0.9188 0.2534 0.9132
O 0.2574 0.9123 0.8112
O 0.7574 0.0877 0.6888
O 0.7323 0.0345 0.5437
O 0.1990 0.4991 0.7502
H 0.5573 0.5001 0.7499
H 0.4427 0.4999 0.2501
H 0.9427 0.5001 0.2499
H 0.0573 0.4999 0.7501
Ca 0.5003 0.8339 0.9202
Ca 0.2565 0.4936 0.1266
Ca 0.2564 0.2529 0.3766
Ca 0.4997 0.1661 0.0798
Ca 0.2465 0.7531 0.7468
Ca 0.0019 0.1672 0.0870
Ca 0.0003 0.1661 0.5798
Ca 0.9997 0.8339 0.4202
Ca 0.9981 0.8328 0.9130
Ca 0.4981 0.1672 0.5870
Ca 0.7564 0.7471 0.1234
Ca 0.7436 0.7471 0.6234
Ca 0.7465 0.2469 0.7532
Ca 0.5019 0.8328 0.4130
Ca 0.2435 0.4936 0.6266
Ca 0.2436 0.2529 0.8766
Ca 0.7435 0.5064 0.8734
Ca 0.7535 0.2469 0.2532
Ca 0.2535 0.7531 0.2468
Ca 0.7565 0.5064 0.3734
P 0.2445 0.1019 0.7650
P 0.7485 0.1316 0.9491
P 0.2555 0.1019 0.2650
P 0.2485 0.8684 0.5509
P 0.7515 0.1316 0.4491
P 0.7555 0.8981 0.2350
P 0.2451 0.5302 0.9340
P 0.2515 0.8684 0.0509
P 0.2549 0.5302 0.4340
P 0.7445 0.8981 0.7350
P 0.7549 0.4698 0.0660
P 0.7451 0.4698 0.5660



Entry 3:
# ThHg3

ThHg3 after structural relaxation (PBE, the Materials Project database).

Energy of formation = -237 meV/atom

Cell: 6.8396 6.8396 5.0479 Å, 90.00 90.00 120.00°
Fractional coordinates of all 8 atoms:
Hg 0.1633 0.3265 0.7500
Hg 0.1633 0.8367 0.7500
Hg 0.6735 0.8367 0.7500
Hg 0.3265 0.1633 0.2500
Hg 0.8367 0.6735 0.2500
Hg 0.8367 0.1633 0.2500
Th 0.3333 0.6667 0.2500
Th 0.6667 0.3333 0.7500